Material: CaCo4S8
Method: DFT, GGA-PBE
State: optimized geometry

Lattice parameters (Å, degrees): 6.822 6.822 6.822 61.19 61.19 61.19
Atoms (fractional coordinates):
Ca 0.000 0.000 0.000
Co 0.000 0.500 0.500
Co 0.500 0.000 0.500
Co 0.500 0.500 0.000
Co 0.500 0.500 0.500
S 0.267 0.267 0.267
S 0.272 0.272 0.695
S 0.272 0.695 0.272
S 0.305 0.728 0.728
S 0.695 0.272 0.272
S 0.728 0.305 0.728
S 0.728 0.728 0.305
S 0.733 0.733 0.733

## Properties
Total magnetization in μB/cell: 0.0
Space group: R-3m (166)
E_tot in eV per atom: -5.4124
E_form in eV/atom: -0.835